No. 1
# MgMn8O8F8 PBE with a Hubbard U optimized geometry
# - distance to the lowest polymorph of the same formula (meV/atom) = 29
# - volume (Å³/atom) = 11.9
# - spin magnetization (μB per cell) = 34.0
# - energy relative to the elements (meV/atom) = -2371
# - final energy (eV per atom) = -6.66
data_MgMn8O8F8
_cell_length_a 4.795
_cell_length_b 4.940
_cell_length_c 12.527
_cell_angle_alpha 88.26
_cell_angle_beta 89.05
_cell_angle_gamma 88.73
_space_group_name_H-M_alt 'P 1'
_space_group_IT_number 1
_space_group_name_Hall 'P 1'
loop_
_atom_site_label
_atom_site_type_symbol
_atom_site_fract_x
_atom_site_fract_y
_atom_site_fract_z
Mg1 Mg 0.000 0.000 0.000
Mn1 Mn 0.014 0.496 0.746
Mn2 Mn 0.023 0.530 0.258
Mn3 Mn 0.046 0.495 0.001
Mn4 Mn 0.452 0.011 0.622
Mn5 Mn 0.453 0.016 0.143
Mn6 Mn 0.519 0.081 0.864
Mn7 Mn 0.520 0.097 0.382
Mn8 Mn 0.960 0.582 0.503
O1 O 0.152 0.724 0.625
O2 O 0.156 0.716 0.117
O3 O 0.303 0.220 0.739
O4 O 0.332 0.266 0.261
O5 O 0.337 0.216 0.006
O6 O 0.661 0.864 0.501
O7 O 0.823 0.376 0.382
O8 O 0.878 0.300 0.886
F1 F 0.181 0.773 0.884
F2 F 0.205 0.796 0.375
F3 F 0.273 0.282 0.503
F4 F 0.691 0.767 0.996
F5 F 0.693 0.786 0.758
F6 F 0.706 0.814 0.254
F7 F 0.769 0.306 0.625
F8 F 0.840 0.236 0.117

No. 2
# MgMn8O8F8 PBE with a Hubbard U optimized geometry
# - distance to the lowest polymorph of the same formula (meV/atom) = 25
# - volume (Å³/atom) = 12.0
# - spin magnetization (μB per cell) = 34.0
# - energy relative to the elements (meV/atom) = -2375
# - final energy (eV per atom) = -6.67
data_MgMn8O8F8
_cell_length_a 4.826
_cell_length_b 4.952
_cell_length_c 12.506
_cell_angle_alpha 89.85
_cell_angle_beta 88.63
_cell_angle_gamma 88.98
_space_group_name_H-M_alt 'P 1'
_space_group_IT_number 1
_space_group_name_Hall 'P 1'
loop_
_atom_site_label
_atom_site_type_symbol
_atom_site_fract_x
_atom_site_fract_y
_atom_site_fract_z
Mg1 Mg 0.000 0.000 0.000
Mn1 Mn 0.027 0.432 0.741
Mn2 Mn 0.471 0.936 0.620
Mn3 Mn 0.475 0.929 0.136
Mn4 Mn 0.530 0.002 0.860
Mn5 Mn 0.553 0.010 0.379
Mn6 Mn 0.941 0.508 0.997
Mn7 Mn 0.981 0.508 0.497
Mn8 Mn 0.982 0.523 0.253
O1 O 0.117 0.710 0.112
O2 O 0.173 0.656 0.622
O3 O 0.327 0.158 0.741
O4 O 0.658 0.796 0.990
O5 O 0.682 0.785 0.501
O6 O 0.692 0.803 0.261
O7 O 0.828 0.324 0.373
O8 O 0.850 0.264 0.880
F1 F 0.174 0.752 0.885
F2 F 0.203 0.733 0.373
F3 F 0.300 0.230 0.243
F4 F 0.309 0.234 0.003
F5 F 0.311 0.205 0.490
F6 F 0.700 0.722 0.749
F7 F 0.795 0.234 0.619
F8 F 0.813 0.237 0.114

No. 3
# MgMn6O7F5 PBE with a Hubbard U optimized geometry
# - distance to the lowest polymorph of the same formula (meV/atom) = 35
# - volume (Å³/atom) = 11.8
# - spin magnetization (μB per cell) = 25.0
# - energy relative to the elements (meV/atom) = -2370
# - final energy (eV per atom) = -6.77
data_MgMn6O7F5
_cell_length_a 5.638
_cell_length_b 5.978
_cell_length_c 7.898
_cell_angle_alpha 68.43
_cell_angle_beta 70.57
_cell_angle_gamma 69.02
_space_group_name_H-M_alt 'P 1'
_space_group_IT_number 1
_space_group_name_Hall 'P 1'
loop_
_atom_site_label
_atom_site_type_symbol
_atom_site_fract_x
_atom_site_fract_y
_atom_site_fract_z
Mg1 Mg 0.000 0.000 0.000
Mn1 Mn 0.259 0.826 0.651
Mn2 Mn 0.431 0.833 0.261
Mn3 Mn 0.594 0.186 0.820
Mn4 Mn 0.624 0.212 0.357
Mn5 Mn 0.916 0.542 0.498
Mn6 Mn 0.968 0.526 0.996
O1 O 0.156 0.740 0.472
O2 O 0.314 0.481 0.842
O3 O 0.599 0.075 0.094
O4 O 0.602 0.834 0.476
O5 O 0.630 0.553 0.165
O6 O 0.703 0.318 0.549
O7 O 0.917 0.876 0.823
F1 F 0.050 0.156 0.159
F2 F 0.059 0.665 0.181
F3 F 0.220 0.241 0.478
F4 F 0.353 0.962 0.830
F5 F 0.893 0.360 0.821

No. 4
# MgMn2O2F2 PBE with a Hubbard U optimized geometry
# - distance to the lowest polymorph of the same formula (meV/atom) = 135
# - volume (Å³/atom) = 14.2
# - spin magnetization (μB per cell) = 20.0
# - energy relative to the elements (meV/atom) = -2494
# - final energy (eV per atom) = -6.50
data_MgMn2O2F2
_cell_length_a 3.267
_cell_length_b 6.446
_cell_length_c 9.424
_cell_angle_alpha 90.00
_cell_angle_beta 90.00
_cell_angle_gamma 90.00
_space_group_name_H-M_alt 'A m m 2'
_space_group_IT_number 38
_space_group_name_Hall 'A 2 -2'
loop_
_atom_site_label
_atom_site_type_symbol
_atom_site_fract_x
_atom_site_fract_y
_atom_site_fract_z
Mg1 Mg 0.000 0.000 0.000
Mn1 Mn 0.000 0.000 0.625
Mn2 Mn 0.500 0.000 0.244
O1 O 0.000 0.199 0.162
F1 F 0.500 0.000 0.466
F2 F 0.500 0.000 0.892